Entry 1:
DFT (PBE-GGA) results for Al3Zn after structural relaxation.

Computed properties:
- Formation enthalpy at 0 K: 0.0250 eV/atom
- Crystal system: cubic

```
4
Lattice="4.012 0.000 0.000 0.000 4.012 0.000 0.000 0.000 4.012" Properties=species:S:1:pos:R:3 pbc="T T T"
Al 0.000 0.000 2.006
Al 0.000 2.006 0.000
Al 2.006 0.000 0.000
Zn 2.006 2.006 2.006
```

Entry 2:
DFT (PBE-GGA) results for Zr2Al3Zn after structural relaxation.

Computed properties:
- Formation enthalpy at 0 K: -0.5171 eV/atom
- Crystal system: trigonal

```
6
Lattice="2.667 1.540 4.267 -2.667 1.540 4.267 0.000 -3.080 4.267" Properties=species:S:1:pos:R:3 pbc="T T T"
Zr 0.000 0.000 1.596
Zr 0.000 0.000 11.205
Al -1.333 -0.770 4.267
Al -1.333 0.770 8.534
Al 0.000 1.540 4.267
Zn 0.000 0.000 6.400
```